The following is a GGA+U calculation of a relaxed Li2FeSi4O10 crystal, from the Materials Project.

Results
* ΔE_f: -2.86 eV/atom

Cell and atoms, written as CIF:
```
data_Li2FeSi4O10
_space_group_name_H-M_alt 'P 1 21/m 1'
_space_group_IT_number 11
_space_group_name_Hall '-P 2yb'
_cell_length_a 11.159
_cell_length_b 7.755
_cell_length_c 11.210
_cell_angle_alpha 90.00
_cell_angle_beta 111.53
_cell_angle_gamma 90.00
loop_
_atom_site_label
_atom_site_type_symbol
_atom_site_fract_x
_atom_site_fract_y
_atom_site_fract_z
Li1 Li 0.027 0.250 0.105
Li2 Li 0.090 0.250 0.388
Li3 Li 0.372 0.250 0.877
Li4 Li 0.374 0.250 0.457
Fe1 Fe 0.211 0.012 0.278
Si1 Si 0.089 0.050 0.740
Si2 Si 0.242 0.551 0.008
Si3 Si 0.259 0.547 0.588
Si4 Si 0.470 0.053 0.224
O1 O 0.024 0.064 0.243
O2 O 0.045 0.250 0.698
O3 O 0.131 0.537 0.627
O4 O 0.165 0.031 0.089
O5 O 0.193 0.750 0.961
O6 O 0.221 0.060 0.874
O7 O 0.241 0.069 0.464
O8 O 0.286 0.750 0.564
O9 O 0.382 0.027 0.715
O10 O 0.400 0.041 0.325
O11 O 0.400 0.558 0.089
O12 O 0.478 0.250 0.172
```

The following is a GGA+U calculation of a relaxed Li5Cr3NiO8 crystal, from the Materials Project.

Results
* ΔE_f: -2.15 eV/atom

Cell and atoms, written as CIF:
```
data_Li5Cr3NiO8
_space_group_name_H-M_alt 'C m c 21'
_space_group_IT_number 36
_space_group_name_Hall 'C 2c -2'
_cell_length_a 5.956
_cell_length_b 10.402
_cell_length_c 9.819
_cell_angle_alpha 90.00
_cell_angle_beta 90.00
_cell_angle_gamma 90.00
loop_
_atom_site_label
_atom_site_type_symbol
_atom_site_fract_x
_atom_site_fract_y
_atom_site_fract_z
Li1 Li 0.000 0.005 0.000
Li2 Li 0.000 0.201 0.071
Li3 Li 0.000 0.328 0.298
Li4 Li 0.212 0.400 0.074
Cr1 Cr 0.000 0.173 0.800
Cr2 Cr 0.248 0.420 0.800
Ni1 Ni 0.000 0.335 0.544
O1 O 0.000 0.005 0.690
O2 O 0.000 0.157 0.419
O3 O 0.000 0.337 0.915
O4 O 0.000 0.495 0.681
O5 O 0.238 0.258 0.682
O6 O 0.243 0.085 0.917
```

The following is a GGA+U calculation of a relaxed LiFeF4 crystal, from the Materials Project.

Results
* ΔE_f: -2.41 eV/atom

Cell and atoms, written as CIF:
```
data_LiFeF4
_space_group_name_H-M_alt 'P 1'
_space_group_IT_number 1
_space_group_name_Hall 'P 1'
_cell_length_a 4.946
_cell_length_b 6.091
_cell_length_c 6.213
_cell_angle_alpha 119.35
_cell_angle_beta 108.99
_cell_angle_gamma 90.00
loop_
_atom_site_label
_atom_site_type_symbol
_atom_site_fract_x
_atom_site_fract_y
_atom_site_fract_z
Li1 Li 0.000 0.000 0.000
Li2 Li 0.500 0.500 0.000
Fe1 Fe 0.250 0.659 0.500
Fe2 Fe 0.750 0.341 0.500
F1 F 0.167 0.499 0.710
F2 F 0.187 0.965 0.754
F3 F 0.309 0.732 0.251
F4 F 0.334 0.305 0.289
F5 F 0.667 0.711 0.710
F6 F 0.687 0.289 0.754
F7 F 0.813 0.035 0.246
F8 F 0.833 0.501 0.290
```

The following is a GGA+U calculation of a relaxed MgMn6O10F2 crystal, from the Materials Project.

Results
* ΔE_f: -2.01 eV/atom

Cell and atoms, written as CIF:
```
data_MgMn6O10F2
_space_group_name_H-M_alt 'P 1'
_space_group_IT_number 1
_space_group_name_Hall 'P 1'
_cell_length_a 5.160
_cell_length_b 5.179
_cell_length_c 8.824
_cell_angle_alpha 87.24
_cell_angle_beta 87.66
_cell_angle_gamma 75.48
loop_
_atom_site_label
_atom_site_type_symbol
_atom_site_fract_x
_atom_site_fract_y
_atom_site_fract_z
Mg1 Mg 0.000 0.000 0.000
Mn1 Mn 0.286 0.292 0.644
Mn2 Mn 0.295 0.304 0.329
Mn3 Mn 0.331 0.337 0.982
Mn4 Mn 0.699 0.717 0.179
Mn5 Mn 0.750 0.754 0.812
Mn6 Mn 0.851 0.856 0.486
O1 O 0.009 0.623 0.654
O2 O 0.128 0.141 0.496
O3 O 0.163 0.168 0.836
O4 O 0.438 0.447 0.477
O5 O 0.465 0.470 0.154
O6 O 0.595 0.992 0.328
O7 O 0.610 0.992 0.993
O8 O 0.616 0.015 0.654
O9 O 0.991 0.616 0.321
O10 O 0.993 0.618 0.987
F1 F 0.121 0.130 0.174
F2 F 0.499 0.501 0.794
```

no.,energy relative to the lowest polymorph listed for this composition (meV per atom)
1,27
2,9
3,414
4,118